Record 1
# SrCaI4

A geometry-optimized SrCaI4 structure (PBE, the Materials Project database).

space-group type = P2_1/c
energy relative to the elements = -1.854 eV/atom
magnetization = 0.00 μB/f.u.

Cell lengths 9.8318, 10.9024, 11.3617 Å; angles 90.00, 123.58, 90.00 degrees
Atoms (fractional coordinates):
Sr 0.0078 0.2159 0.1544
Sr 0.0078 0.2841 0.6544
Sr 0.9922 0.7159 0.3456
Sr 0.9922 0.7841 0.8456
Ca 0.4995 0.0465 0.2873
Ca 0.4995 0.4535 0.7873
Ca 0.5005 0.5465 0.2127
Ca 0.5005 0.9535 0.7127
I 0.1788 0.6651 0.1699
I 0.1788 0.8349 0.6699
I 0.1809 0.0597 0.9874
I 0.1809 0.4403 0.4874
I 0.2506 0.5077 0.8858
I 0.2506 0.9923 0.3858
I 0.4013 0.1865 0.8046
I 0.4013 0.3135 0.3046
I 0.5987 0.6865 0.6954
I 0.5987 0.8135 0.1954
I 0.7494 0.0077 0.6142
I 0.7494 0.4923 0.1142
I 0.8191 0.5597 0.5126
I 0.8191 0.9403 0.0126
I 0.8212 0.1651 0.3301
I 0.8212 0.3349 0.8301

---

Record 2
# SrCaI4

A geometry-optimized SrCaI4 structure (PBE, the Materials Project database).

space-group type = I4_1/a
energy relative to the elements = -1.839 eV/atom
magnetization = 0.00 μB/f.u.

Cell lengths 10.0241, 10.0241, 10.0241 Å; angles 133.04, 133.04, 68.59 degrees
Atoms (fractional coordinates):
Sr 0.3750 0.1250 0.2500
Sr 0.6250 0.8750 0.7500
Ca 0.1250 0.3750 0.7500
Ca 0.8750 0.6250 0.2500
I 0.0300 0.7395 0.8404
I 0.2395 0.8992 0.7096
I 0.3104 0.4700 0.2096
I 0.3992 0.1896 0.6596
I 0.6008 0.8104 0.3404
I 0.6896 0.5300 0.7904
I 0.7605 0.1008 0.2904
I 0.9700 0.2605 0.1596

---

Record 3
# SrCa2I6

A geometry-optimized SrCa2I6 structure (PBE, the Materials Project database).

space-group type = P321
energy relative to the elements = -1.871 eV/atom
magnetization = 0.00 μB/f.u.

Cell lengths 13.7612, 13.7612, 7.2246 Å; angles 90.00, 90.00, 120.00 degrees
Atoms (fractional coordinates):
Sr 0.0000 0.0000 0.0000
Sr 0.3333 0.6667 0.4971
Sr 0.6667 0.3333 0.5029
Ca 0.0000 0.3161 0.5000
Ca 0.0000 0.6503 0.0000
Ca 0.3161 0.0000 0.5000
Ca 0.3497 0.3497 0.0000
Ca 0.6503 0.0000 0.0000
Ca 0.6839 0.6839 0.5000
I 0.0987 0.8693 0.7491
I 0.1046 0.5367 0.7491
I 0.1307 0.2294 0.7491
I 0.2165 0.4364 0.2482
I 0.2200 0.7835 0.2482
I 0.2294 0.1307 0.2509
I 0.4321 0.8954 0.7491
I 0.4364 0.2165 0.7518
I 0.4633 0.5679 0.7491
I 0.5367 0.1046 0.2509
I 0.5636 0.7800 0.2482
I 0.5679 0.4633 0.2509
I 0.7706 0.9013 0.7491
I 0.7800 0.5636 0.7518
I 0.7835 0.2200 0.7518
I 0.8693 0.0987 0.2509
I 0.8954 0.4321 0.2509
I 0.9013 0.7706 0.2509

---

Record 4
# SrCa2I6

A geometry-optimized SrCa2I6 structure (PBE, the Materials Project database).

space-group type = Pbcn
energy relative to the elements = -1.881 eV/atom
magnetization = 0.00 μB/f.u.

Cell lengths 7.2981, 27.0597, 8.0938 Å; angles 90.00, 90.00, 90.00 degrees
Atoms (fractional coordinates):
Sr 0.0000 0.1211 0.2500
Sr 0.0000 0.8789 0.7500
Sr 0.5000 0.3789 0.7500
Sr 0.5000 0.6211 0.2500
Ca 0.0000 0.2133 0.7500
Ca 0.0000 0.4543 0.2500
Ca 0.0000 0.5457 0.7500
Ca 0.0000 0.7867 0.2500
Ca 0.5000 0.0457 0.7500
Ca 0.5000 0.2867 0.2500
Ca 0.5000 0.7133 0.7500
Ca 0.5000 0.9543 0.2500
I 0.2372 0.4634 0.5724
I 0.2372 0.5366 0.0724
I 0.2417 0.1281 0.5920
I 0.2417 0.8719 0.0920
I 0.2504 0.2073 0.0679
I 0.2496 0.2927 0.5679
I 0.2496 0.7073 0.0679
I 0.2504 0.7927 0.5679
I 0.2583 0.3719 0.0920
I 0.2583 0.6281 0.5920
I 0.2628 0.0366 0.0724
I 0.2628 0.9634 0.5724
I 0.7372 0.0366 0.4276
I 0.7372 0.9634 0.9276
I 0.7417 0.3719 0.4080
I 0.7417 0.6281 0.9080
I 0.7496 0.2073 0.4321
I 0.7504 0.2927 0.9321
I 0.7504 0.7073 0.4321
I 0.7496 0.7927 0.9321
I 0.7583 0.1281 0.9080
I 0.7583 0.8719 0.4080
I 0.7628 0.4634 0.9276
I 0.7628 0.5366 0.4276

---

Record 5
# CaThI6

A geometry-optimized CaThI6 structure (PBE, the Materials Project database).

space-group type = P-31c
energy relative to the elements = -1.628 eV/atom
magnetization = 0.00 μB/f.u.

Cell lengths 7.7367, 7.7367, 14.3508 Å; angles 90.00, 90.00, 120.00 degrees
Atoms (fractional coordinates):
Ca 0.3333 0.6667 0.2500
Ca 0.6667 0.3333 0.7500
Th 0.0000 0.0000 0.0000
Th 0.0000 0.0000 0.5000
I 0.0008 0.3278 0.3773
I 0.0008 0.6729 0.1227
I 0.3271 0.3278 0.1227
I 0.3271 0.9992 0.3773
I 0.3278 0.0008 0.8773
I 0.3278 0.3271 0.6227
I 0.6722 0.6729 0.3773
I 0.6722 0.9992 0.1227
I 0.6729 0.0008 0.6227
I 0.6729 0.6722 0.8773
I 0.9992 0.3271 0.8773
I 0.9992 0.6722 0.6227

---

Record 6
# CaTlI3

A geometry-optimized CaTlI3 structure (PBE, the Materials Project database).

space-group type = Cmcm
energy relative to the elements = -1.468 eV/atom

Cell lengths 7.9989, 7.9989, 11.7604 Å; angles 90.00, 90.00, 146.40 degrees
Atoms (fractional coordinates):
Ca 0.0000 0.0000 0.0000
Ca 0.0000 0.0000 0.5000
Tl 0.2495 0.7505 0.7500
Tl 0.7505 0.2495 0.2500
I 0.0774 0.9226 0.2500
I 0.3648 0.6352 0.0545
I 0.3648 0.6352 0.4455
I 0.6352 0.3648 0.5545
I 0.6352 0.3648 0.9455
I 0.9226 0.0774 0.7500

---

Record 7
# CaUI6

A geometry-optimized CaUI6 structure (PBE, the Materials Project database).

space-group type = P-31c
energy relative to the elements = -1.379 eV/atom
magnetization = 2.00 μB/f.u.

Cell lengths 7.6628, 7.6628, 14.1534 Å; angles 90.00, 90.00, 120.00 degrees
Atoms (fractional coordinates):
Ca 0.3333 0.6667 0.2500
Ca 0.6667 0.3333 0.7500
U 0.0000 0.0000 0.0000
U 0.0000 0.0000 0.5000
I 0.0037 0.3227 0.8762
I 0.0037 0.6810 0.6238
I 0.3190 0.3227 0.6238
I 0.3190 0.9963 0.8762
I 0.3227 0.0037 0.3762
I 0.3227 0.3190 0.1238
I 0.6773 0.6810 0.8762
I 0.6773 0.9963 0.6238
I 0.6810 0.0037 0.1238
I 0.6810 0.6773 0.3762
I 0.9963 0.3190 0.3762
I 0.9963 0.6773 0.1238

---

Record 8
# Ca3In

A geometry-optimized Ca3In structure (PBE, the Materials Project database).

space-group type = Fm-3m
energy relative to the elements = -0.219 eV/atom
magnetization = 0.00 μB/f.u.

Cell lengths 5.7079, 5.7079, 5.7079 Å; angles 60.00, 60.00, 60.00 degrees
Atoms (fractional coordinates):
Ca 0.0000 0.0000 0.0000
Ca 0.2500 0.2500 0.2500
Ca 0.7500 0.7500 0.7500
In 0.5000 0.5000 0.5000

---

Record 9
# CaIn

A geometry-optimized CaIn structure (PBE, the Materials Project database).

space-group type = I4/mmm
energy relative to the elements = -0.459 eV/atom

Cell lengths 6.7100, 6.7100, 6.7100 Å; angles 112.68, 112.68, 103.23 degrees
Atoms (fractional coordinates):
Ca 0.2101 0.2101 0.0000
Ca 0.2500 0.7500 0.5000
Ca 0.7500 0.2500 0.5000
Ca 0.7899 0.7899 0.0000
In 0.2789 0.2789 0.5578
In 0.2789 0.7211 0.0000
In 0.7211 0.2789 0.0000
In 0.7211 0.7211 0.4422

---

Record 10
# CaIn

A geometry-optimized CaIn structure (PBE, the Materials Project database).

space-group type = Pm-3m
energy relative to the elements = -0.470 eV/atom

Cell lengths 3.8642, 3.8642, 3.8642 Å; angles 90.00, 90.00, 90.00 degrees
Atoms (fractional coordinates):
Ca 0.0000 0.0000 0.0000
In 0.5000 0.5000 0.5000

---

Record 11
# CaIn4Ir

A geometry-optimized CaIn4Ir structure (PBE, the Materials Project database).

space-group type = Pmma
energy relative to the elements = -0.332 eV/atom

Cell lengths 8.7901, 4.2970, 7.5945 Å; angles 90.00, 90.00, 90.00 degrees
Atoms (fractional coordinates):
Ca 0.2500 0.0000 0.0982
Ca 0.7500 0.0000 0.9018
In 0.0000 0.0000 0.5000
In 0.0651 0.5000 0.8151
In 0.2500 0.5000 0.4327
In 0.4349 0.5000 0.8151
In 0.5000 0.0000 0.5000
In 0.5651 0.5000 0.1849
In 0.7500 0.5000 0.5673
In 0.9349 0.5000 0.1849
Ir 0.2500 0.0000 0.6952
Ir 0.7500 0.0000 0.3048

---

Record 12
# CaIn2N2

A geometry-optimized CaIn2N2 structure (PBE, the Materials Project database).

space-group type = R-3m
energy relative to the elements = -0.433 eV/atom

Cell lengths 8.1326, 8.1326, 8.1326 Å; angles 24.48, 24.48, 24.48 degrees
Atoms (fractional coordinates):
Ca 0.0000 0.0000 0.0000
In 0.2220 0.2220 0.2220
In 0.7780 0.7780 0.7780
N 0.3977 0.3977 0.3977
N 0.6023 0.6023 0.6023